DFT (PBE with a Hubbard U) results for crystalline CaMn4O9 at its relaxed geometry.

## Properties
Its corrected total energy (MP2020 scheme) is -7.68 eV per atom. As for the formation energy: -1743 meV/atom. The magnetic moment comes out at 12.00 μB/f.u. The calculation puts the total energy at -0.2487 Ha/atom.

a b c (Å): 8.5470 8.5470 5.1117
angles (deg): 90.00 90.00 90.00
Sites, in units of the cell vectors:
O 0.1063 0.7082 0.5301
O 0.2082 0.3937 0.5301
O 0.4283 0.2375 0.9308
O 0.0000 0.0000 0.5000
O 0.9283 0.7375 0.0692
O 0.2375 0.5717 0.0692
O 0.0717 0.2625 0.0692
O 0.7375 0.0717 0.9308
O 0.5717 0.7625 0.9308
O 0.2918 0.1063 0.4699
O 0.2625 0.9283 0.9308
O 0.6063 0.2082 0.4699
O 0.3937 0.7918 0.4699
O 0.8937 0.2918 0.5301
O 0.7918 0.6063 0.5301
O 0.5000 0.5000 0.5000
O 0.7625 0.4283 0.0692
O 0.7082 0.8937 0.4699
Mn 0.2832 0.5893 0.3939
Mn 0.7168 0.4107 0.3939
Mn 0.9107 0.7832 0.3939
Mn 0.7832 0.0893 0.6061
Mn 0.0893 0.2168 0.3939
Mn 0.2168 0.9107 0.6061
Mn 0.4107 0.2832 0.6061
Mn 0.5893 0.7168 0.6061
Ca 0.5000 0.0000 0.1243
Ca 0.0000 0.5000 0.8757



DFT (PBE with a Hubbard U) results for crystalline La5Mg2Mn3O15 at its relaxed geometry.

## Properties
Its corrected total energy (MP2020 scheme) is -8.33 eV per atom. As for the formation energy: -3150 meV/atom. The magnetic moment comes out at 10.00 μB/f.u. The calculation puts the total energy at -0.2837 Ha/atom.

a b c (Å): 7.8560 9.4986 9.6482
angles (deg): 81.34 113.67 113.23
Sites, in units of the cell vectors:
La 0.6525 0.1022 0.6993
La 0.2500 0.5012 0.5009
La 0.0466 0.6999 0.8983
La 0.3475 0.8978 0.3007
La 0.1496 0.1008 0.6979
La 0.8504 0.8992 0.3021
La 0.7500 0.4988 0.4991
La 0.4494 0.3033 0.1017
La 0.5506 0.6967 0.8983
La 0.9534 0.3001 0.1017
O 0.3856 0.9259 0.7788
O 0.8065 0.0196 0.5221
O 0.9861 0.3260 0.5803
O 0.3747 0.3898 0.8423
O 0.5926 0.5818 0.6771
O 0.9735 0.7892 0.6410
O 0.4074 0.4182 0.3229
O 0.4263 0.8118 0.5584
O 0.2317 0.0118 0.9574
O 0.1734 0.5881 0.2415
O 0.8161 0.8741 0.8210
O 0.2161 0.4747 0.0213
O 0.1935 0.9804 0.4779
O 0.0062 0.8192 0.1226
O 0.9938 0.1808 0.8774
O 0.6144 0.0741 0.2212
O 0.3916 0.7804 0.0775
O 0.7839 0.5253 0.9787
O 0.2073 0.6199 0.7225
O 0.7683 0.9882 0.0426
O 0.4159 0.2742 0.6214
O 0.1839 0.1259 0.1790
O 0.0265 0.2108 0.3590
O 0.6253 0.6102 0.1577
O 0.7927 0.3801 0.2775
O 0.5737 0.1882 0.4416
O 0.5841 0.7258 0.3786
O 0.0139 0.6740 0.4197
O 0.6084 0.2196 0.9225
O 0.8266 0.4119 0.7585
Mn 0.8003 0.2002 0.4005
Mn 0.0000 0.0000 0.0000
Mn 0.6003 0.4005 0.7997
Mn 0.1997 0.7998 0.5995
Mn 0.3997 0.5995 0.2003
Mn 0.5000 0.0000 0.0000
Mg 0.8996 0.5997 0.1996
Mg 0.1004 0.4003 0.8004
Mg 0.7000 0.8004 0.5998
Mg 0.3000 0.1996 0.4002



Please write out number 2 again, unchanged.
DFT (PBE with a Hubbard U) results for crystalline La5Mg2Mn3O15 at its relaxed geometry.

## Properties
Its corrected total energy (MP2020 scheme) is -8.33 eV per atom. As for the formation energy: -3150 meV/atom. The magnetic moment comes out at 10.00 μB/f.u. The calculation puts the total energy at -0.2837 Ha/atom.

a b c (Å): 7.8560 9.4986 9.6482
angles (deg): 81.34 113.67 113.23
Sites, in units of the cell vectors:
La 0.6525 0.1022 0.6993
La 0.2500 0.5012 0.5009
La 0.0466 0.6999 0.8983
La 0.3475 0.8978 0.3007
La 0.1496 0.1008 0.6979
La 0.8504 0.8992 0.3021
La 0.7500 0.4988 0.4991
La 0.4494 0.3033 0.1017
La 0.5506 0.6967 0.8983
La 0.9534 0.3001 0.1017
O 0.3856 0.9259 0.7788
O 0.8065 0.0196 0.5221
O 0.9861 0.3260 0.5803
O 0.3747 0.3898 0.8423
O 0.5926 0.5818 0.6771
O 0.9735 0.7892 0.6410
O 0.4074 0.4182 0.3229
O 0.4263 0.8118 0.5584
O 0.2317 0.0118 0.9574
O 0.1734 0.5881 0.2415
O 0.8161 0.8741 0.8210
O 0.2161 0.4747 0.0213
O 0.1935 0.9804 0.4779
O 0.0062 0.8192 0.1226
O 0.9938 0.1808 0.8774
O 0.6144 0.0741 0.2212
O 0.3916 0.7804 0.0775
O 0.7839 0.5253 0.9787
O 0.2073 0.6199 0.7225
O 0.7683 0.9882 0.0426
O 0.4159 0.2742 0.6214
O 0.1839 0.1259 0.1790
O 0.0265 0.2108 0.3590
O 0.6253 0.6102 0.1577
O 0.7927 0.3801 0.2775
O 0.5737 0.1882 0.4416
O 0.5841 0.7258 0.3786
O 0.0139 0.6740 0.4197
O 0.6084 0.2196 0.9225
O 0.8266 0.4119 0.7585
Mn 0.8003 0.2002 0.4005
Mn 0.0000 0.0000 0.0000
Mn 0.6003 0.4005 0.7997
Mn 0.1997 0.7998 0.5995
Mn 0.3997 0.5995 0.2003
Mn 0.5000 0.0000 0.0000
Mg 0.8996 0.5997 0.1996
Mg 0.1004 0.4003 0.8004
Mg 0.7000 0.8004 0.5998
Mg 0.3000 0.1996 0.4002